A plane-wave DFT calculation with GGA-PBE was carried out for crystalline Si2N2O at its relaxed geometry.

Results
The calculated total energy is -7.9430 eV/atom. The energy of formation is -1.586 eV/atom. The value obtained for the magnetization is 0.0 μB/f.u.

Cell lengths 12.3121, 12.3121, 12.3121 Å; angles 154.21, 154.21, 36.79 degrees
Last column: nearest neighbours and their distance in Å.
Atoms (fractional coordinates):
Si  0.2067  0.9569  0.2497  2 O 1.82, 4 N 1.89-1.90
Si  0.5433  0.2931  0.2503  2 O 1.82, 4 N 1.89-1.90
Si  0.0431  0.7933  0.7503  2 O 1.82, 4 N 1.89-1.90
Si  0.0428  0.2931  0.7497  2 O 1.82, 4 N 1.89-1.90
Si  0.5811  0.0811  0.5000  4 N 1.77-1.78
Si  0.3750  0.6250  0.2500  2 O 1.80, 4 N 1.89
Si  0.7069  0.4567  0.7497  2 O 1.82, 4 N 1.89-1.90
Si  0.3750  0.1250  0.7500  2 O 1.80, 4 N 1.89
Si  0.0431  0.2928  0.2497  2 O 1.82, 4 N 1.89-1.90
Si  0.3750  0.6250  0.7500  2 O 1.80, 4 N 1.89
Si  0.7069  0.9572  0.2503  2 O 1.82, 4 N 1.89-1.90
Si  0.7072  0.9569  0.7503  2 O 1.82, 4 N 1.89-1.90
Si  0.9189  0.4189  0.5000  4 N 1.77-1.78
Si  0.1689  0.1689  0.0000  4 N 1.77-1.78
Si  0.8311  0.8311  0.0000  4 N 1.77-1.78
Si  0.8750  0.6250  0.2500  2 O 1.80, 4 N 1.89
N  0.7877  0.0509  0.2632  4 Si 1.77-1.90
N  0.7877  0.5246  0.7368  4 Si 1.77-1.90
N  0.4754  0.2122  0.2632  4 Si 1.77-1.90
N  0.9491  0.2122  0.7368  4 Si 1.77-1.90
N  0.6116  0.3745  0.2371  4 Si 1.78-1.90
N  0.9622  0.7254  0.7632  4 Si 1.77-1.90
N  0.2746  0.0378  0.2368  4 Si 1.77-1.90
N  0.1384  0.8755  0.2629  4 Si 1.78-1.90
N  0.8009  0.0378  0.7632  4 Si 1.77-1.90
N  0.9622  0.1991  0.2368  4 Si 1.77-1.90
N  0.6255  0.3884  0.7629  4 Si 1.78-1.90
N  0.6255  0.8626  0.2371  4 Si 1.78-1.90
N  0.1245  0.8616  0.7371  4 Si 1.78-1.90
N  0.1245  0.3874  0.2629  4 Si 1.78-1.90
N  0.1374  0.3745  0.7629  4 Si 1.78-1.90
N  0.6126  0.8755  0.7371  4 Si 1.78-1.90
O  0.8334  0.5486  0.2849  3 Si 1.80-1.82
O  0.4863  0.7014  0.7849  3 Si 1.80-1.82
O  0.2637  0.5486  0.7151  3 Si 1.80-1.82
O  0.9166  0.7014  0.2151  3 Si 1.80-1.82
O  0.4514  0.1666  0.7151  3 Si 1.80-1.82
O  0.2986  0.5137  0.2151  3 Si 1.80-1.82
O  0.2986  0.0834  0.7849  3 Si 1.80-1.82
O  0.4514  0.7363  0.2849  3 Si 1.80-1.82


A plane-wave DFT calculation with GGA-PBE was carried out for crystalline RbLaTiNbO6F at its relaxed geometry.

Results
The calculated total energy is -7.9333 eV/atom. The energy of formation is -3.303 eV/atom. The value obtained for the magnetization is 0.0 μB/f.u.

Cell lengths 3.8724, 3.9160, 11.2894 Å; angles 90.00, 90.00, 90.00 degrees
Last column: nearest neighbours and their distance in Å.
Atoms (fractional coordinates):
Rb  0.5000  0.5000  0.5021  8 O 3.16-3.18
F  0.0000  0.5000  0.8303  2 Ti 2.00
Ti  0.0000  0.0000  0.7940  1 O 1.70
O  0.0000  0.0000  0.6431  1 Ti 1.70
O  0.5000  0.0000  0.8341  2 Ti 1.99
O  0.5000  0.0000  0.1647  2 Nb 1.99
O  0.0000  0.0000  0.9977  1 Ti 2.30, 1 Nb 2.34
O  0.0000  0.5000  0.1633  2 Nb 2.01
O  0.0000  0.0000  0.3654  1 Nb 1.81
Nb  0.0000  0.0000  0.2051  5 O 1.81-2.01
La  0.5000  0.5000  0.0003  10 O 2.67-2.75, 2 F 2.73


A plane-wave DFT calculation with GGA-PBE was carried out for crystalline LiGaI4 at its relaxed geometry.

Results
The calculated total energy is -2.5914 eV/atom. The energy of formation is -1.005 eV/atom.

Cell lengths 7.7467, 8.1931, 15.2052 Å; angles 87.23, 90.00, 90.00 degrees
Last column: nearest neighbours and their distance in Å.
Atoms (fractional coordinates):
Ga  0.8256  0.7062  0.5990  4 I 2.58-2.62
Ga  0.1744  0.2938  0.4010  4 I 2.58-2.62
Ga  0.6744  0.7062  0.0990  4 I 2.58-2.62
Ga  0.3256  0.2938  0.9010  4 I 2.58-2.62
I  0.6854  0.4339  0.1908  1 Ga 2.58
I  0.1854  0.5661  0.3092  1 Ga 2.58
I  0.6388  0.1861  0.9317  1 Ga 2.62
I  0.6806  0.9362  0.6866  1 Ga 2.61
I  0.8612  0.1861  0.4317  1 Ga 2.62
I  0.6818  0.6915  0.4467  1 Ga 2.58
I  0.3612  0.8139  0.0683  1 Ga 2.62
I  0.8194  0.9362  0.1866  1 Ga 2.61
I  0.8146  0.4339  0.6908  1 Ga 2.58
I  0.3182  0.3085  0.5533  1 Ga 2.58
I  0.1806  0.0638  0.8134  1 Ga 2.61
I  0.3194  0.0638  0.3134  1 Ga 2.61
I  0.8182  0.6915  0.9467  1 Ga 2.58
I  0.1388  0.8139  0.5683  1 Ga 2.62
I  0.3146  0.5661  0.8092  1 Ga 2.58
I  0.1818  0.3085  0.0533  1 Ga 2.58
Li  0.9941  0.8459  0.3802  5 I 2.89-3.22
Li  0.0059  0.1541  0.6198  5 I 2.89-3.22
Li  0.4941  0.1541  0.1198  5 I 2.89-3.22
Li  0.5059  0.8459  0.8802  5 I 2.89-3.22


A plane-wave DFT calculation with GGA-PBE was carried out for crystalline K2H4PtC6S6N6O2 at its relaxed geometry.

Results
The calculated total energy is -6.2045 eV/atom. The energy of formation is -0.368 eV/atom. The value obtained for the magnetization is 0.0 μB/f.u.

Cell lengths 11.3221, 7.4142, 11.4666 Å; angles 80.16, 90.00, 90.00 degrees
Last column: nearest neighbours and their distance in Å.
Atoms (fractional coordinates):
S  0.9792  0.7563  0.8830  1 C 1.66
S  0.1388  0.7924  0.1141  1 C 1.66
S  0.3612  0.2924  0.1141  1 C 1.66
S  0.3210  0.6245  0.8987  1 C 1.66
S  0.8612  0.2076  0.8859  1 C 1.66
S  0.1790  0.1245  0.8987  1 C 1.66
S  0.6388  0.7076  0.8859  1 C 1.66
S  0.8210  0.8755  0.1013  1 C 1.66
S  0.5208  0.2563  0.8830  1 C 1.66
S  0.4792  0.7437  0.1170  1 C 1.66
S  0.0208  0.2437  0.1170  1 C 1.66
S  0.6790  0.3755  0.1013  1 C 1.66
N  0.6432  0.3986  0.6715  1 C 1.18
N  0.5100  0.9248  0.7010  1 C 1.18
N  0.6795  0.4700  0.3304  1 C 1.18
N  0.0100  0.5752  0.2990  1 C 1.18
N  0.1795  0.0300  0.6696  1 C 1.18
N  0.9900  0.4248  0.7010  1 C 1.18
N  0.8205  0.9700  0.3304  1 C 1.18
N  0.8568  0.8986  0.6715  1 C 1.18
N  0.4900  0.0752  0.2990  1 C 1.18
N  0.3205  0.5300  0.6696  1 C 1.18
N  0.1432  0.1014  0.3285  1 C 1.18
N  0.3568  0.6014  0.3285  1 C 1.18
O  0.4134  0.2630  0.5074  2 H 0.98
O  0.0866  0.7630  0.5074  2 H 0.98
O  0.5866  0.7370  0.4926  2 H 0.98
O  0.9134  0.2370  0.4926  2 H 0.98
Pt  0.0000  0.0000  0.0000  6 S 2.42-2.44
Pt  0.5000  0.5000  0.0000  6 S 2.42-2.44
H  0.4088  0.3780  0.4504  1 O 0.98
H  0.9233  0.1991  0.4157  1 O 0.98
H  0.5767  0.6991  0.4157  1 O 0.98
H  0.0767  0.8009  0.5843  1 O 0.98
H  0.4233  0.3009  0.5843  1 O 0.98
H  0.9088  0.1220  0.5496  1 O 0.98
H  0.5912  0.6220  0.5496  1 O 0.98
H  0.0912  0.8780  0.4504  1 O 0.98
C  0.5935  0.3454  0.7614  1 N 1.18
C  0.3246  0.5638  0.7662  1 N 1.18
C  0.1754  0.0638  0.7662  1 N 1.18
C  0.5595  0.8309  0.7795  1 N 1.18
C  0.9065  0.8454  0.7614  1 N 1.18
C  0.0595  0.6691  0.2205  1 N 1.18
C  0.6754  0.4362  0.2338  1 N 1.18
C  0.9405  0.3309  0.7795  1 N 1.18
C  0.4405  0.1691  0.2205  1 N 1.18
C  0.8246  0.9362  0.2338  1 N 1.18
C  0.4065  0.6546  0.2386  1 N 1.18
C  0.0935  0.1546  0.2386  1 N 1.18
K  0.1531  0.3937  0.5000  3 O 2.86-3.10, 5 N 2.95-3.17, 1 H 2.96
K  0.3469  0.8937  0.5000  3 O 2.86-3.10, 5 N 2.95-3.17, 1 H 2.96
K  0.8469  0.6063  0.5000  3 O 2.86-3.10, 5 N 2.95-3.17, 1 H 2.96
K  0.6531  0.1063  0.5000  3 O 2.86-3.10, 5 N 2.95-3.17, 1 H 2.96


A plane-wave DFT calculation with GGA-PBE was carried out for crystalline CuH4C2NCl3O at its relaxed geometry.

Results
The calculated total energy is -4.6190 eV/atom. The energy of formation is -0.096 eV/atom. The value obtained for the magnetization is 1.0 μB/f.u.

Cell lengths 6.3202, 7.9218, 8.3839 Å; angles 71.11, 76.48, 81.97 degrees
Last column: nearest neighbours and their distance in Å.
Atoms (fractional coordinates):
Cu  0.2967  0.0886  0.3875  4 Cl 2.17-2.28
Cu  0.7033  0.9114  0.6125  4 Cl 2.17-2.28
Cl  0.3788  0.0753  0.6403  2 Cu 2.26-2.28
Cl  0.7560  0.9170  0.8574  1 Cu 2.17
Cl  0.2440  0.0830  0.1426  1 Cu 2.17
Cl  0.9821  0.2405  0.4346  1 Cu 2.20
Cl  0.6212  0.9247  0.3597  2 Cu 2.26-2.28
Cl  0.0179  0.7595  0.5654  1 Cu 2.20
O  0.5223  0.3943  0.2541  1 C 1.22
O  0.4777  0.6057  0.7459  1 C 1.22
C  0.5692  0.4954  0.6753  2 H 1.11-1.12, 1 O 1.22
C  0.1154  0.6752  0.1350  2 H 1.11, 1 N 1.24
C  0.8846  0.3248  0.8650  2 H 1.11, 1 N 1.24
C  0.4308  0.5046  0.3247  2 H 1.11-1.12, 1 O 1.22
H  0.9698  0.2776  0.7537  1 C 1.11
H  0.0302  0.7224  0.2463  1 C 1.11
H  0.5100  0.3600  0.7089  1 C 1.11
H  0.0864  0.5380  0.1415  1 C 1.11
H  0.4900  0.6400  0.2911  1 C 1.11
H  0.7191  0.5272  0.5727  1 C 1.12
H  0.9136  0.4620  0.8585  1 C 1.11
H  0.2809  0.4728  0.4273  1 C 1.12
N  0.2429  0.7702  0.0138  1 C 1.24
N  0.7571  0.2298  0.9862  1 C 1.24